{"formula": "BaH5BrO3", "functional": "PBE", "state": "optimized geometry", "formation_energy_kj_per_mol_atoms": -158.2, "magmom_total_mub_per_cell": 0.001, "cell": [[4.645, 0.000, 0.000], [0.000, 4.645, 0.000], [0.000, 0.000, 11.878]], "species": ["Ba", "Ba", "H", "H", "H", "H", "H", "H", "H", "H", "H", "H", "Br", "Br", "O", "O", "O", "O", "O", "O"], "frac_coords": [[0.250, 0.250, 0.188], [0.750, 0.750, 0.812], [0.071, 0.750, 0.373], [0.250, 0.250, 0.490], [0.250, 0.571, 0.627], [0.250, 0.929, 0.627], [0.429, 0.750, 0.373], [0.571, 0.250, 0.627], [0.750, 0.071, 0.373], [0.750, 0.429, 0.373], [0.750, 0.750, 0.510], [0.929, 0.250, 0.627], [0.250, 0.250, 0.905], [0.750, 0.750, 0.095], [0.250, 0.250, 0.572], [0.250, 0.750, 0.323], [0.250, 0.750, 0.677], [0.750, 0.250, 0.323], [0.750, 0.250, 0.677], [0.750, 0.750, 0.428]]}

{"formula": "MgSnP2", "functional": "PBE", "state": "optimized geometry", "formation_energy_kj_per_mol_atoms": -29.9, "cell": [[-2.961, 2.961, 5.825], [2.961, -2.961, 5.825], [2.961, 2.961, -5.825]], "species": ["Mg", "Mg", "Sn", "Sn", "P", "P", "P", "P"], "frac_coords": [[0.000, 0.000, 0.000], [0.750, 0.250, 0.500], [0.250, 0.750, 0.500], [0.500, 0.500, 0.000], [0.128, 0.125, 0.503], [0.375, 0.872, 0.997], [0.622, 0.625, 0.497], [0.875, 0.378, 0.003]]}

{"formula": "DyCdHg2", "functional": "PBE", "state": "optimized geometry", "formation_energy_kj_per_mol_atoms": -35.4, "cell": [[0.000, 3.609, 3.609], [3.609, 0.000, 3.609], [3.609, 3.609, 0.000]], "species": ["Dy", "Cd", "Hg", "Hg"], "frac_coords": [[0.000, 0.000, 0.000], [0.500, 0.500, 0.500], [0.250, 0.250, 0.250], [0.750, 0.750, 0.750]]}

{"formula": "SrN", "functional": "PBE", "state": "optimized geometry", "formation_energy_kj_per_mol_atoms": -26.0, "magmom_total_mub_per_cell": 1.000, "cell": [[0.000, 2.694, 2.694], [2.694, 0.000, 2.694], [2.694, 2.694, 0.000]], "species": ["Sr", "N"], "frac_coords": [[0.000, 0.000, 0.000], [0.500, 0.500, 0.500]]}

{"formula": "TbMn2Si2", "functional": "PBE", "state": "optimized geometry", "formation_energy_kj_per_mol_atoms": -58.0, "cell": [[-1.953, 1.953, 5.167], [1.953, -1.953, 5.167], [1.953, 1.953, -5.167]], "species": ["Tb", "Mn", "Mn", "Si", "Si"], "frac_coords": [[0.000, 0.000, 0.000], [0.250, 0.750, 0.500], [0.750, 0.250, 0.500], [0.379, 0.379, 0.000], [0.621, 0.621, 0.000]]}

{"formula": "Ca3Mn3N5", "functional": "PBE", "state": "optimized geometry", "formation_energy_kj_per_mol_atoms": -84.6, "cell": [[5.531, 0.000, 0.000], [-0.588, 6.755, 0.000], [-2.016, -2.752, 7.589]], "species": ["Ca", "Ca", "Ca", "Ca", "Ca", "Ca", "Mn", "Mn", "Mn", "Mn", "Mn", "Mn", "N", "N", "N", "N", "N", "N", "N", "N", "N", "N"], "frac_coords": [[0.154, 0.170, 0.201], [0.161, 0.370, 0.880], [0.323, 0.919, 0.617], [0.677, 0.081, 0.383], [0.839, 0.630, 0.120], [0.846, 0.830, 0.799], [0.190, 0.449, 0.566], [0.396, 0.615, 0.301], [0.407, 0.822, 0.972], [0.593, 0.178, 0.028], [0.604, 0.385, 0.699], [0.810, 0.551, 0.434], [0.124, 0.565, 0.385], [0.250, 0.039, 0.911], [0.308, 0.721, 0.125], [0.333, 0.210, 0.508], [0.437, 0.618, 0.775], [0.563, 0.382, 0.225], [0.667, 0.790, 0.492], [0.692, 0.279, 0.875], [0.750, 0.961, 0.089], [0.876, 0.435, 0.615]]}

{"formula": "Ge3Ir2Se3", "functional": "PBE", "state": "optimized geometry", "formation_energy_kj_per_mol_atoms": -62.5, "de_polymorph_mev_per_atom": 0, "cell": [[6.133, 3.541, 5.030], [-6.133, 3.541, 5.030], [0.000, -7.082, 5.030]], "species": ["Ge", "Ge", "Ge", "Ge", "Ge", "Ge", "Ge", "Ge", "Ge", "Ge", "Ge", "Ge", "Ir", "Ir", "Ir", "Ir", "Ir", "Ir", "Ir", "Ir", "Se", "Se", "Se", "Se", "Se", "Se", "Se", "Se", "Se", "Se", "Se", "Se"], "frac_coords": [[0.002, 0.668, 0.151], [0.151, 0.002, 0.668], [0.169, 0.350, 0.502], [0.332, 0.849, 0.998], [0.350, 0.502, 0.169], [0.498, 0.831, 0.650], [0.502, 0.169, 0.350], [0.650, 0.498, 0.831], [0.668, 0.151, 0.002], [0.831, 0.650, 0.498], [0.849, 0.998, 0.332], [0.998, 0.332, 0.849], [0.246, 0.252, 0.751], [0.249, 0.754, 0.748], [0.252, 0.751, 0.246], [0.253, 0.253, 0.253], [0.747, 0.747, 0.747], [0.748, 0.249, 0.754], [0.751, 0.246, 0.252], [0.754, 0.748, 0.249], [0.003, 0.353, 0.143], [0.143, 0.003, 0.353], [0.147, 0.644, 0.500], [0.353, 0.143, 0.003], [0.356, 0.500, 0.853], [0.500, 0.147, 0.644], [0.500, 0.853, 0.356], [0.644, 0.500, 0.147], [0.647, 0.857, 0.997], [0.853, 0.356, 0.500], [0.857, 0.997, 0.647], [0.997, 0.647, 0.857]]}

{"formula": "P4PtIO10", "functional": "PBE", "state": "optimized geometry", "formation_energy_kj_per_mol_atoms": -159.8, "de_polymorph_mev_per_atom": 0, "magmom_total_mub_per_cell": 4.003, "cell": [[11.034, 0.000, 0.000], [0.000, 22.091, 0.000], [-6.798, 0.000, 14.304]], "species": ["P", "P", "P", "P", "P", "P", "P", "P", "P", "P", "P", "P", "P", "P", "P", "P", "Pt", "Pt", "Pt", "Pt", "I", "I", "I", "I", "O", "O", "O", "O", "O", "O", "O", "O", "O", "O", "O", "O", "O", "O", "O", "O", "O", "O", "O", "O", "O", "O", "O", "O", "O", "O", "O", "O", "O", "O", "O", "O", "O", "O", "O", "O", "O", "O", "O", "O"], "frac_coords": [[0.066, 0.149, 0.011], [0.066, 0.351, 0.511], [0.191, 0.501, 0.408], [0.191, 0.999, 0.908], [0.250, 0.104, 0.204], [0.250, 0.396, 0.704], [0.402, 0.564, 0.575], [0.402, 0.936, 0.075], [0.598, 0.064, 0.925], [0.598, 0.436, 0.425], [0.750, 0.604, 0.296], [0.750, 0.896, 0.796], [0.809, 0.001, 0.092], [0.809, 0.499, 0.592], [0.934, 0.649, 0.489], [0.934, 0.851, 0.989], [0.030, 0.040, 0.953], [0.030, 0.460, 0.453], [0.970, 0.540, 0.547], [0.970, 0.960, 0.047], [0.187, 0.555, 0.692], [0.187, 0.945, 0.192], [0.813, 0.055, 0.808], [0.813, 0.445, 0.308], [0.047, 0.651, 0.462], [0.047, 0.849, 0.962], [0.098, 0.180, 0.942], [0.098, 0.320, 0.442], [0.148, 0.556, 0.352], [0.148, 0.944, 0.852], [0.163, 0.128, 0.244], [0.163, 0.372, 0.744], [0.187, 0.065, 0.882], [0.187, 0.435, 0.382], [0.208, 0.122, 0.096], [0.208, 0.378, 0.596], [0.318, 0.507, 0.512], [0.318, 0.993, 0.012], [0.357, 0.624, 0.533], [0.357, 0.876, 0.033], [0.371, 0.067, 0.238], [0.371, 0.433, 0.738], [0.487, 0.041, 0.840], [0.487, 0.459, 0.340], [0.513, 0.541, 0.660], [0.513, 0.959, 0.160], [0.629, 0.567, 0.262], [0.629, 0.933, 0.762], [0.643, 0.124, 0.967], [0.643, 0.376, 0.467], [0.682, 0.007, 0.988], [0.682, 0.493, 0.488], [0.792, 0.622, 0.404], [0.792, 0.878, 0.904], [0.813, 0.565, 0.618], [0.813, 0.935, 0.118], [0.837, 0.628, 0.256], [0.837, 0.872, 0.756], [0.852, 0.056, 0.148], [0.852, 0.444, 0.648], [0.902, 0.680, 0.558], [0.902, 0.820, 0.058], [0.953, 0.151, 0.038], [0.953, 0.349, 0.538]]}

{"formula": "HfMg14BO15", "functional": "PBE", "state": "optimized geometry", "formation_energy_kj_per_mol_atoms": -262.1, "de_polymorph_mev_per_atom": 0, "magmom_total_mub_per_cell": 1.000, "cell": [[4.273, 0.000, 0.000], [0.000, 8.969, 0.000], [0.000, 0.000, 8.508]], "species": ["Hf", "Mg", "Mg", "Mg", "Mg", "Mg", "Mg", "Mg", "Mg", "Mg", "Mg", "Mg", "Mg", "Mg", "Mg", "B", "O", "O", "O", "O", "O", "O", "O", "O", "O", "O", "O", "O", "O", "O", "O"], "frac_coords": [[0.000, 0.000, 0.000], [0.000, 0.000, 0.491], [0.000, 0.247, 0.745], [0.000, 0.272, 0.245], [0.000, 0.500, 0.500], [0.000, 0.728, 0.245], [0.000, 0.753, 0.745], [0.500, 0.000, 0.255], [0.500, 0.000, 0.733], [0.500, 0.253, 0.497], [0.500, 0.278, 0.990], [0.500, 0.500, 0.238], [0.500, 0.500, 0.750], [0.500, 0.722, 0.990], [0.500, 0.747, 0.497], [0.000, 0.500, 0.783], [0.000, 0.000, 0.244], [0.000, 0.000, 0.751], [0.000, 0.227, 0.003], [0.000, 0.242, 0.493], [0.000, 0.500, 0.267], [0.000, 0.758, 0.493], [0.000, 0.773, 0.003], [0.500, 0.000, 0.003], [0.500, 0.000, 0.491], [0.500, 0.228, 0.746], [0.500, 0.254, 0.244], [0.500, 0.500, 0.505], [0.500, 0.500, 0.992], [0.500, 0.746, 0.244], [0.500, 0.772, 0.746]]}

{"formula": "Ba2CuF6", "functional": "PBE", "state": "optimized geometry", "formation_energy_kj_per_mol_atoms": -327.2, "de_polymorph_mev_per_atom": 0, "cell": [[8.010, -2.968, 0.000], [8.010, 2.968, 0.000], [0.000, 0.000, 6.069]], "species": ["Ba", "Ba", "Ba", "Ba", "Cu", "Cu", "F", "F", "F", "F", "F", "F", "F", "F", "F", "F", "F", "F"], "frac_coords": [[0.151, 0.151, 0.000], [0.349, 0.349, 0.500], [0.651, 0.651, 0.500], [0.849, 0.849, 0.000], [0.000, 0.000, 0.500], [0.500, 0.500, 0.000], [0.002, 0.498, 0.750], [0.119, 0.119, 0.500], [0.211, 0.789, 0.843], [0.289, 0.711, 0.343], [0.381, 0.381, 0.000], [0.498, 0.002, 0.250], [0.502, 0.998, 0.750], [0.619, 0.619, 0.000], [0.711, 0.289, 0.657], [0.789, 0.211, 0.157], [0.881, 0.881, 0.500], [0.998, 0.502, 0.250]]}

{"formula": "Sm3BiRu4O14", "functional": "PBE", "state": "optimized geometry", "formation_energy_kj_per_mol_atoms": -221.5, "magmom_total_mub_per_cell": 3.035, "cell": [[3.677, 2.123, 5.966], [-3.677, 2.123, 5.966], [0.000, -4.246, 5.966]], "species": ["Sm", "Sm", "Sm", "Bi", "Ru", "Ru", "Ru", "Ru", "O", "O", "O", "O", "O", "O", "O", "O", "O", "O", "O", "O", "O", "O"], "frac_coords": [[0.000, 0.500, 0.500], [0.500, 0.000, 0.500], [0.500, 0.500, 0.000], [0.500, 0.500, 0.500], [0.000, 0.000, 0.000], [0.000, 0.000, 0.500], [0.000, 0.500, 0.000], [0.500, 0.000, 0.000], [0.081, 0.670, 0.670], [0.082, 0.082, 0.669], [0.082, 0.669, 0.082], [0.330, 0.330, 0.919], [0.330, 0.919, 0.330], [0.331, 0.918, 0.918], [0.373, 0.373, 0.373], [0.627, 0.627, 0.627], [0.669, 0.082, 0.082], [0.670, 0.081, 0.670], [0.670, 0.670, 0.081], [0.918, 0.331, 0.918], [0.918, 0.918, 0.331], [0.919, 0.330, 0.330]]}

{"formula": "MgSc4Ti2O10", "functional": "PBE", "state": "optimized geometry", "formation_energy_kj_per_mol_atoms": -341.7, "de_polymorph_mev_per_atom": 0, "magmom_total_mub_per_cell": 2.006, "cell": [[5.148, -1.981, 0.000], [5.148, 1.981, 0.000], [-0.302, 0.000, 10.681]], "species": ["Mg", "Sc", "Sc", "Sc", "Sc", "Ti", "Ti", "O", "O", "O", "O", "O", "O", "O", "O", "O", "O"], "frac_coords": [[0.000, 0.000, 0.000], [0.342, 0.342, 0.141], [0.427, 0.427, 0.795], [0.670, 0.670, 0.335], [0.737, 0.737, 0.621], [0.398, 0.398, 0.436], [0.700, 0.700, 0.935], [0.198, 0.198, 0.973], [0.226, 0.226, 0.296], [0.315, 0.315, 0.631], [0.486, 0.486, 0.272], [0.500, 0.500, 0.994], [0.582, 0.582, 0.501], [0.615, 0.615, 0.768], [0.829, 0.829, 0.098], [0.848, 0.848, 0.451], [0.878, 0.878, 0.832]]}

{"formula": "MgTiZnBi2O6", "functional": "PBE", "state": "optimized geometry", "formation_energy_kj_per_mol_atoms": -199.1, "de_polymorph_mev_per_atom": 83, "magmom_total_mub_per_cell": 0.000, "cell": [[5.253, 0.000, 0.000], [0.000, 5.340, 0.000], [0.000, 0.000, 6.321]], "species": ["Mg", "Ti", "Zn", "Bi", "Bi", "O", "O", "O", "O", "O", "O"], "frac_coords": [[0.000, 0.000, 0.000], [0.000, 0.500, 0.209], [0.500, 0.000, 0.239], [0.000, 0.000, 0.541], [0.500, 0.500, 0.888], [0.000, 0.500, 0.492], [0.249, 0.262, 0.087], [0.249, 0.738, 0.087], [0.500, 0.000, 0.544], [0.751, 0.262, 0.087], [0.751, 0.738, 0.087]]}

{"formula": "Nd2MgSe4", "functional": "PBE", "state": "optimized geometry", "formation_energy_kj_per_mol_atoms": -181.5, "de_polymorph_mev_per_atom": 54, "magmom_total_mub_per_cell": 0.002, "cell": [[13.488, 0.000, 0.000], [0.000, 4.139, 0.000], [0.000, 0.000, 14.665]], "species": ["Nd", "Nd", "Nd", "Nd", "Nd", "Nd", "Nd", "Nd", "Mg", "Mg", "Mg", "Mg", "Se", "Se", "Se", "Se", "Se", "Se", "Se", "Se", "Se", "Se", "Se", "Se", "Se", "Se", "Se", "Se"], "frac_coords": [[0.119, 0.250, 0.074], [0.136, 0.250, 0.705], [0.364, 0.750, 0.205], [0.381, 0.750, 0.574], [0.619, 0.250, 0.426], [0.636, 0.250, 0.795], [0.864, 0.750, 0.295], [0.881, 0.750, 0.926], [0.107, 0.750, 0.461], [0.393, 0.250, 0.961], [0.607, 0.750, 0.039], [0.893, 0.250, 0.539], [0.002, 0.750, 0.614], [0.028, 0.250, 0.883], [0.225, 0.250, 0.247], [0.233, 0.250, 0.514], [0.267, 0.750, 0.014], [0.275, 0.750, 0.747], [0.472, 0.750, 0.383], [0.498, 0.250, 0.114], [0.502, 0.750, 0.886], [0.528, 0.250, 0.617], [0.725, 0.250, 0.253], [0.733, 0.250, 0.986], [0.767, 0.750, 0.486], [0.775, 0.750, 0.753], [0.972, 0.750, 0.117], [0.998, 0.250, 0.386]]}